(1)
# Ba7HfN6, relaxed, DFT GGA-PBE
data_Ba7HfN6
_chemical_formula_sum 'Ba28 Hf4 N24'
_cell_length_a 12.513
_cell_length_b 7.276
_cell_length_c 14.957
_cell_angle_alpha 90.00
_cell_angle_beta 90.00
_cell_angle_gamma 90.00
_symmetry_space_group_name_H-M 'P b c n'
_symmetry_Int_Tables_number 60
loop_
_symmetry_equiv_pos_as_xyz
'x,y,z'
'-x,-y,-z'
'-x+1/2,-y+1/2,z+1/2'
'x+1/2,y+1/2,-z+1/2'
'x+1/2,-y+1/2,-z'
'-x+1/2,y+1/2,z'
'-x,y,-z+1/2'
'x,-y,z+1/2'
loop_
_atom_site_label
_atom_site_type_symbol
_atom_site_fract_x
_atom_site_fract_y
_atom_site_fract_z
Ba1 Ba 0.000 0.055 0.250
Ba2 Ba 0.009 0.243 0.527
Ba3 Ba 0.218 0.416 0.122
Ba4 Ba 0.233 0.260 0.373
Hf1 Hf 0.000 0.437 0.750
N1 N 0.024 0.391 0.359
N2 N 0.130 0.263 0.718
N3 N 0.165 0.028 0.986
# **Raw total energy**: -5.88 eV/atom
# **Energy of formation**: -789 meV/atom


(2)
# Ba3HfNb4O15, relaxed, DFT GGA-PBE
data_Ba3HfNb4O15
_chemical_formula_sum 'Ba6 Hf2 Nb8 O30'
_cell_length_a 12.813
_cell_length_b 12.813
_cell_length_c 4.113
_cell_angle_alpha 90.00
_cell_angle_beta 90.00
_cell_angle_gamma 90.00
_symmetry_space_group_name_H-M 'P 4 b m'
_symmetry_Int_Tables_number 100
loop_
_symmetry_equiv_pos_as_xyz
'x,y,z'
'-y,x,z'
'-x,-y,z'
'y,-x,z'
'-x+1/2,y+1/2,z'
'y+1/2,x+1/2,z'
'x+1/2,-y+1/2,z'
'-y+1/2,-x+1/2,z'
loop_
_atom_site_label
_atom_site_type_symbol
_atom_site_fract_x
_atom_site_fract_y
_atom_site_fract_z
Ba1 Ba 0.000 0.000 0.000
Ba2 Ba 0.168 0.332 0.010
Hf1 Hf 0.000 0.500 0.492
Nb1 Nb 0.075 0.786 0.520
O1 O 0.000 0.500 0.986
O2 O 0.010 0.338 0.482
O3 O 0.067 0.138 0.474
O4 O 0.079 0.795 0.977
O5 O 0.217 0.717 0.479
# **Raw total energy**: -8.54 eV/atom
# **Energy of formation**: -3321 meV/atom


(3)
# BaSrHfNbO6, relaxed, DFT GGA-PBE
data_BaSrHfNbO6
_chemical_formula_sum 'Ba4 Sr4 Hf4 Nb4 O24'
_cell_length_a 8.297
_cell_length_b 8.297
_cell_length_c 8.297
_cell_angle_alpha 90.00
_cell_angle_beta 90.00
_cell_angle_gamma 90.00
_symmetry_space_group_name_H-M 'F -4 3 m'
_symmetry_Int_Tables_number 216
_symmetry_space_group_name_Hall 'F -4 2 3'
loop_
_atom_site_label
_atom_site_type_symbol
_atom_site_fract_x
_atom_site_fract_y
_atom_site_fract_z
Ba1 Ba 0.000 0.000 0.000
Sr1 Sr 0.000 0.000 0.500
Hf1 Hf 0.250 0.250 0.750
Nb1 Nb 0.250 0.250 0.250
O1 O 0.002 0.250 0.250
# **Raw total energy**: -8.36 eV/atom
# **Energy of formation**: -3442 meV/atom


(4)
# BaNdHfZrO6, relaxed, DFT GGA-PBE
data_BaNdHfZrO6
_chemical_formula_sum 'Ba4 Nd4 Hf4 Zr4 O24'
_cell_length_a 8.375
_cell_length_b 8.375
_cell_length_c 8.375
_cell_angle_alpha 90.00
_cell_angle_beta 90.00
_cell_angle_gamma 90.00
_symmetry_space_group_name_H-M 'F -4 3 m'
_symmetry_Int_Tables_number 216
_symmetry_space_group_name_Hall 'F -4 2 3'
loop_
_atom_site_label
_atom_site_type_symbol
_atom_site_fract_x
_atom_site_fract_y
_atom_site_fract_z
Ba1 Ba 0.000 0.000 0.000
Nd1 Nd 0.000 0.000 0.500
Hf1 Hf 0.250 0.250 0.750
Zr1 Zr 0.250 0.250 0.250
O1 O 0.002 0.250 0.750
# **Raw total energy**: -8.60 eV/atom
# **Energy of formation**: -3524 meV/atom


(5)
# Ba2Hf7O16, relaxed, DFT GGA-PBE
data_Ba2Hf7O16
_chemical_formula_sum 'Ba6 Hf21 O48'
_cell_length_a 6.4674
_cell_length_b 6.4674
_cell_length_c 27.1110
_cell_angle_alpha 90.00
_cell_angle_beta 90.00
_cell_angle_gamma 120.00
_symmetry_space_group_name_H-M 'R -3'
_symmetry_Int_Tables_number 148
_symmetry_space_group_name_Hall '-R 3'
loop_
_atom_site_label
_atom_site_type_symbol
_atom_site_fract_x
_atom_site_fract_y
_atom_site_fract_z
Ba1 Ba 0.0000 0.0000 0.1661
Hf1 Hf 0.0000 0.0000 0.5000
Hf2 Hf 0.0026 0.6351 0.3834
O1 O 0.0000 0.0000 0.0670
O2 O 0.0000 0.0000 0.2668
O3 O 0.0064 0.7391 0.4547
O4 O 0.0129 0.7266 0.6374
# **Raw total energy**: -9.55 eV/atom
# **Energy of formation**: -3882 meV/atom


(6)
# Ba3Hf2O7, relaxed, DFT GGA-PBE
data_Ba3Hf2O7
_chemical_formula_sum 'Ba6 Hf4 O14'
_cell_length_a 4.202
_cell_length_b 4.202
_cell_length_c 22.003
_cell_angle_alpha 90.00
_cell_angle_beta 90.00
_cell_angle_gamma 90.00
_symmetry_space_group_name_H-M 'I 4/m m m'
_symmetry_Int_Tables_number 139
_symmetry_space_group_name_Hall '-I 4 2'
loop_
_atom_site_label
_atom_site_type_symbol
_atom_site_fract_x
_atom_site_fract_y
_atom_site_fract_z
Ba1 Ba 0.000 0.000 0.000
Ba2 Ba 0.000 0.000 0.186
Hf1 Hf 0.000 0.000 0.403
O1 O 0.000 0.000 0.308
O2 O 0.000 0.000 0.500
O3 O 0.000 0.500 0.096
# **Raw total energy**: -8.27 eV/atom
# **Energy of formation**: -3643 meV/atom